The following is a PBE with a Hubbard U calculation of a geometry-optimized CaLaCr2O6 structure, from Materials Project.

a b c (Å): 5.4705 5.5382 9.4288
angles (deg): 90.00 125.44 90.00
Space group Pc (No. 7)
Symmetry-distinct sites (fractional):
Ca  0.0000  0.2076  0.0000
La  0.4809  0.2823  0.4991
Cr  0.2393  0.2496  0.7499
Cr  0.7378  0.2502  0.2486
O  0.0648  0.0317  0.2880
O  0.4040  0.4648  0.2080
O  0.4793  0.0362  0.7110
O  0.5641  0.2675  0.9936
O  0.9222  0.2292  0.5047
O  0.9980  0.4582  0.7913

Calculated values
Final energy: -153.75 eV for the cell shown
Magnetic moment: 0.0 μB per cell

=====

The following is a PBE with a Hubbard U calculation of a geometry-optimized Li3Co2O5 structure, from Materials Project.

a b c (Å): 2.9371 5.9296 10.4221
angles (deg): 97.16 97.05 93.13
Space group P-1 (No. 2)
Symmetry-distinct sites (fractional):
Li  0.0000  0.0000  0.0000
Li  0.0000  0.5000  0.0000
Li  0.1969  0.0978  0.3960
Li  0.4043  0.7082  0.8069
Co  0.1928  0.5973  0.3958
Co  0.4060  0.1958  0.8117
O  0.0702  0.0304  0.2003
O  0.1247  0.5680  0.2014
O  0.2902  0.6340  0.5965
O  0.3178  0.1686  0.6141
O  0.4903  0.2470  0.9823

Calculated values
Magnetic moment: 2.0 μB per cell
Polymorph energy (0 for the lowest one): 65 meV/atom

=====

The following is a PBE with a Hubbard U calculation of a geometry-optimized Mg6FeCoO8 structure, from Materials Project.

a b c (Å): 4.2586 4.2586 8.6056
angles (deg): 90.00 90.00 90.00
Space group P4/mmm (No. 123)
Symmetry-distinct sites (fractional):
Mg  0.0000  0.0000  0.0000
Mg  0.0000  0.5000  0.2501
Mg  0.5000  0.5000  0.0000
Fe  0.0000  0.0000  0.5000
Co  0.5000  0.5000  0.5000
O  0.0000  0.0000  0.2509
O  0.0000  0.5000  0.0000
O  0.0000  0.5000  0.5000
O  0.5000  0.5000  0.2427

Calculated values
Magnetic moment: 7.0 μB per cell
Polymorph energy (0 for the lowest one): 0 meV/atom

=====

The following is a PBE with a Hubbard U calculation of a geometry-optimized Ba4Sr2Dy2Co4O15 structure, from Materials Project.

a b c (Å): 11.7255 20.2525 6.8615
angles (deg): 90.00 90.84 90.00
Space group Cc (No. 9)
Symmetry-distinct sites (fractional):
Ba  0.0000  0.0857  0.0000
Ba  0.0194  0.4139  0.4919
Ba  0.2568  0.1743  0.4981
Ba  0.2590  0.3349  0.8199
Sr  0.0464  0.2626  0.1599
Sr  0.2603  0.9999  0.3101
Dy  0.2581  0.4773  0.1674
Dy  0.4741  0.2614  0.1570
Co  0.0223  0.4106  0.9805
Co  0.2566  0.1762  0.9875
Co  0.2594  0.3346  0.3600
Co  0.4943  0.4134  0.9945
O  0.0249  0.1670  0.3803
O  0.1225  0.1962  0.8423
O  0.1234  0.0425  0.5653
O  0.1287  0.4693  0.8581
O  0.1337  0.2926  0.5040
O  0.1396  0.3814  0.1626
O  0.2553  0.0907  0.0700
O  0.2586  0.4204  0.4984
O  0.2673  0.2489  0.1623
O  0.3831  0.2934  0.4808
O  0.3846  0.3802  0.1689
O  0.3905  0.4707  0.8632
O  0.3941  0.1981  0.8723
O  0.4000  0.0451  0.5717
O  0.4894  0.1651  0.3430

Calculated values
Final energy: -704.61 eV for the cell shown
Magnetic moment: 48.0 μB per cell

=====

The following is a PBE with a Hubbard U calculation of a geometry-optimized PrMnGeO5 structure, from Materials Project.

a b c (Å): 5.7269 5.7975 7.0471
angles (deg): 106.29 99.32 107.21
Space group P-1 (No. 2)
Symmetry-distinct sites (fractional):
Pr  0.1498  0.3116  0.2794
Mn  0.5000  0.0000  0.0000
Mn  0.5000  0.0000  0.5000
Ge  0.1961  0.3362  0.7665
O  0.0763  0.7413  0.4397
O  0.1757  0.1310  0.9101
O  0.2293  0.6480  0.9236
O  0.4348  0.0860  0.2619
O  0.4378  0.3310  0.6337

Calculated values
Final energy: -119.24 eV for the cell shown
Magnetic moment: 8.0 μB per cell

=====

The following is a PBE with a Hubbard U calculation of a geometry-optimized Li7Mn5O12 structure, from Materials Project.

a b c (Å): 5.0917 5.2443 8.7305
angles (deg): 75.29 85.95 78.06
Space group P-1 (No. 2)
Symmetry-distinct sites (fractional):
Li  0.0000  0.0000  0.0000
Li  0.2361  0.4047  0.0825
Li  0.2395  0.7460  0.7584
Li  0.2470  0.0737  0.4162
Mn  0.0016  0.6828  0.3250
Mn  0.4986  0.8500  0.1616
Mn  0.5000  0.5000  0.5000
O  0.1377  0.6984  0.5274
O  0.1398  0.3668  0.8616
O  0.1528  0.0393  0.2037
O  0.3646  0.1212  0.6389
O  0.3824  0.5069  0.2842
O  0.3950  0.8213  0.9595

Calculated values
Magnetic moment: 18.0 μB per cell
Polymorph energy (0 for the lowest one): 25 meV/atom

=====

The following is a PBE with a Hubbard U calculation of a geometry-optimized HoWO5 structure, from Materials Project.

a b c (Å): 5.3088 12.6491 6.9487
angles (deg): 90.00 116.83 90.00
Space group P2_1/c (No. 14)
Symmetry-distinct sites (fractional):
Ho  0.1393  0.0556  0.2851
W  0.3934  0.1388  0.8468
O  0.0153  0.0874  0.5611
O  0.2011  0.0647  0.9724
O  0.2650  0.6485  0.4208
O  0.2931  0.2241  0.2917
O  0.4880  0.5715  0.8442

Calculated values
Final energy: -211.01 eV for the cell shown
Magnetic moment: 4.0 μB per cell

=====

The following is a PBE with a Hubbard U calculation of a geometry-optimized Na3Li3Mn2P2C2O14 structure, from Materials Project.

a b c (Å): 6.7699 8.7479 10.1390
angles (deg): 91.17 90.04 90.21
Space group P1 (No. 1)
Symmetry-distinct sites (fractional):
Na  0.0000  0.0000  0.0000
Na  0.0001  0.4899  0.7479
Na  0.4979  0.4894  0.7479
Na  0.4986  0.4931  0.2526
Na  0.7485  0.6615  0.0042
Na  0.9991  0.9986  0.5006
Li  0.2520  0.8320  0.2520
Li  0.2597  0.8354  0.7485
Li  0.4768  0.0171  0.0109
Li  0.4791  0.0113  0.5095
Li  0.7467  0.6666  0.5003
Li  0.9759  0.4757  0.2443
Mn  0.2449  0.3854  0.0163
Mn  0.2473  0.3874  0.5102
Mn  0.7430  0.1007  0.2387
Mn  0.7442  0.1016  0.7339
P  0.2476  0.1505  0.2736
P  0.2524  0.1475  0.7707
P  0.7426  0.3312  0.9795
P  0.7485  0.3409  0.4743
C  0.2563  0.7006  0.4905
C  0.2576  0.7004  0.9923
C  0.7474  0.7978  0.7550
C  0.7552  0.7977  0.2645
O  0.0632  0.0515  0.2379
O  0.0642  0.0530  0.7349
O  0.2326  0.3164  0.2205
O  0.2434  0.5991  0.3946
O  0.2441  0.5980  0.8966
O  0.2494  0.3106  0.7132
O  0.2507  0.6570  0.6127
O  0.2521  0.6567  0.1140
O  0.2689  0.1650  0.4270
O  0.2695  0.1654  0.9245
O  0.2738  0.8434  0.4615
O  0.2752  0.8431  0.9627
O  0.4262  0.0602  0.2159
O  0.4275  0.0501  0.7163
O  0.5608  0.4289  0.0219
O  0.5667  0.4419  0.5118
O  0.7320  0.1666  0.0333
O  0.7330  0.1769  0.5301
O  0.7383  0.8875  0.3678
O  0.7432  0.8935  0.8552
O  0.7494  0.6523  0.7753
O  0.7493  0.8480  0.6353
O  0.7499  0.3188  0.8259
O  0.7512  0.8566  0.1482
O  0.7625  0.3249  0.3204
O  0.7747  0.6512  0.2804
O  0.9285  0.4205  0.0309
O  0.9325  0.4305  0.5253

Calculated values
Magnetic moment: 20.0 μB per cell
Polymorph energy (0 for the lowest one): 11 meV/atom

=====

| no. | volume (A^3/atom) |
| --- | --- |
| 1 | 11.64 |
| 2 | 8.91 |
| 3 | 9.75 |
| 4 | 15.09 |
| 5 | 12.92 |
| 6 | 9.19 |
| 7 | 14.87 |
| 8 | 11.54 |